Version A
Material: Li3MgNi3O8
Method: DFT, PBE+U
State: optimized geometry

Output
Its volume is 275.57 Å³/cell.

a b c (Å): 4.902 7.668 7.750
angles (deg): 97.19 101.01 101.98
Fractional positions:
Li  0.995  0.884  0.619
Li  0.995  0.384  0.119
Li  0.502  0.506  0.999
Li  0.502  0.006  0.499
Li  0.502  0.738  0.769
Li  0.502  0.238  0.269
Mg  0.499  0.126  0.875
Mg  0.499  0.626  0.375
Ni  0.998  0.754  0.249
Ni  0.998  0.254  0.749
Ni  0.500  0.877  0.129
Ni  0.500  0.377  0.629
Ni  0.998  0.002  0.003
Ni  0.998  0.502  0.503
O  0.208  0.244  0.979
O  0.208  0.744  0.479
O  0.774  0.520  0.247
O  0.774  0.020  0.747
O  0.258  0.154  0.642
O  0.258  0.654  0.142
O  0.742  0.864  0.348
O  0.742  0.364  0.848
O  0.759  0.772  0.027
O  0.759  0.272  0.527
O  0.254  0.478  0.743
O  0.254  0.978  0.243
O  0.263  0.390  0.408
O  0.263  0.890  0.908
O  0.734  0.102  0.112
O  0.734  0.603  0.612

Version B
Material: Li3MgNi3O8
Method: DFT, PBE+U
State: optimized geometry

Output
As for the space-group type: P2/m, No. 10. Its volume is 137.80 Å³/cell. The value obtained for the total magnetic moment is 1.000 μB per cell. Its crystal system is monoclinic.

a b c (Å): 5.787 4.919 5.096
angles (deg): 71.82 90.00 90.00
Fractional positions:
Li  0.500  0.000  0.500
Li  0.759  0.500  0.500
Li  0.241  0.500  0.500
Mg  0.500  0.500  0.000
Ni  0.753  0.000  0.000
Ni  0.000  0.500  0.000
Ni  0.247  0.000  0.000
O  0.500  0.218  0.774
O  0.500  0.782  0.226
O  0.763  0.256  0.209
O  0.763  0.744  0.791
O  0.000  0.750  0.208
O  0.000  0.250  0.792
O  0.237  0.256  0.209
O  0.237  0.744  0.791

Most stable: version A

Version A
Material: Li3MgV8O16
Method: DFT, PBE+U
State: optimized geometry

Output
As for the space-group type: R3m, No. 160. Its volume is 291.41 Å³/cell. The value obtained for the total magnetic moment is 13.001 μB per cell. Its crystal system is trigonal.

a b c (Å): 10.302 10.302 10.302
angles (deg): 33.17 33.17 33.17
Fractional positions:
Li  0.001  0.001  0.001
Li  0.625  0.625  0.625
Li  0.122  0.122  0.122
Mg  0.813  0.813  0.813
V  0.073  0.073  0.550
V  0.315  0.315  0.315
V  0.500  0.500  0.500
V  0.073  0.550  0.073
V  0.550  0.073  0.073
V  0.571  0.571  0.043
V  0.043  0.571  0.571
V  0.571  0.043  0.571
O  0.964  0.426  0.426
O  0.426  0.964  0.426
O  0.193  0.193  0.193
O  0.426  0.426  0.964
O  0.930  0.930  0.930
O  0.697  0.697  0.180
O  0.180  0.697  0.697
O  0.697  0.180  0.697
O  0.921  0.459  0.921
O  0.459  0.921  0.921
O  0.689  0.689  0.689
O  0.921  0.921  0.459
O  0.207  0.207  0.660
O  0.435  0.435  0.435
O  0.660  0.207  0.207
O  0.207  0.660  0.207

Version B
Material: Li3MgV8O16
Method: DFT, PBE+U
State: optimized geometry

Output
As for the space-group type: Cm, No. 8. Its volume is 306.40 Å³/cell. The value obtained for the total magnetic moment is 13.000 μB per cell. Its crystal system is monoclinic.

a b c (Å): 5.998 5.998 10.321
angles (deg): 74.18 74.18 60.40
Fractional positions:
Li  0.999  0.999  0.001
Li  0.628  0.628  0.122
Li  0.125  0.125  0.629
Mg  0.814  0.814  0.563
V  0.561  0.061  0.307
V  0.311  0.311  0.066
V  0.501  0.501  0.497
V  0.063  0.063  0.311
V  0.061  0.561  0.307
V  0.053  0.567  0.814
V  0.567  0.053  0.814
V  0.563  0.563  0.815
O  0.416  0.971  0.185
O  0.423  0.423  0.178
O  0.196  0.196  0.417
O  0.971  0.416  0.185
O  0.929  0.929  0.205
O  0.169  0.697  0.433
O  0.697  0.169  0.433
O  0.698  0.698  0.433
O  0.919  0.919  0.708
O  0.928  0.461  0.707
O  0.702  0.702  0.923
O  0.461  0.928  0.707
O  0.653  0.203  0.928
O  0.427  0.427  0.699
O  0.203  0.653  0.928
O  0.210  0.210  0.933

Most stable: version B